# Na2Sc4Nb4Si5S7O48 GGA-PBE optimized geometry
data_Na2Sc4Nb4Si5S7O48
_space_group_name_H-M_alt 'P 1'
_space_group_IT_number 1
_cell_length_a 17.818
_cell_length_b 8.909
_cell_length_c 23.176
_cell_angle_alpha 90.00
_cell_angle_beta 89.92
_cell_angle_gamma 120.07
loop_
_space_group_symop_operation_xyz
'x,y,z'
loop_
_atom_site_label
_atom_site_fract_x
_atom_site_fract_y
_atom_site_fract_z
S1 0.335 0.045 0.082
S2 0.311 0.953 0.416
S3 0.360 0.007 0.748
S4 0.856 0.001 0.752
S5 0.859 0.711 0.249
S6 0.022 0.376 0.915
S7 0.978 0.333 0.582
S8 0.810 0.951 0.417
S9 0.188 0.044 0.581
S10 0.998 0.282 0.250
S11 0.478 0.624 0.082
S12 0.666 0.380 0.416
S13 0.667 0.953 0.917
S14 0.524 0.669 0.416
S15 0.356 0.709 0.252
S16 0.311 0.671 0.917
S17 0.167 0.382 0.417
S18 0.689 0.332 0.082
S19 0.834 0.624 0.582
S20 0.499 0.715 0.750
S21 0.810 0.668 0.916
O1 0.899 0.817 0.198
O2 0.895 0.829 0.911
O3 0.106 0.047 0.308
O4 0.911 0.034 0.802
O5 0.568 0.490 0.860
O6 0.906 0.802 0.588
O7 0.817 0.123 0.424
O8 0.235 0.297 0.028
O9 0.505 0.814 0.698
O10 0.581 0.471 0.265
O11 0.820 0.517 0.634
O12 0.768 0.859 0.760
O13 0.683 0.495 0.075
O14 0.077 0.960 0.908
O15 0.738 0.302 0.737
O16 0.270 0.681 0.263
O17 0.350 0.538 0.528
O18 0.897 0.970 0.416
O19 0.258 0.867 0.365
O20 0.516 0.187 0.917
O21 0.180 0.484 0.365
O22 0.576 0.690 0.470
O23 0.893 0.979 0.698
O24 0.274 0.854 0.752
O25 0.428 0.361 0.925
O26 0.095 0.156 0.807
O27 0.082 0.681 0.474
O28 0.158 0.833 0.973
O29 0.322 0.517 0.924
O30 0.078 0.681 0.760
O31 0.254 0.873 0.077
O32 0.759 0.867 0.366
O33 0.600 0.183 0.087
O34 0.182 0.869 0.574
O35 0.065 0.641 0.360
O36 0.747 0.849 0.070
O37 0.398 0.965 0.410
O38 0.480 0.157 0.307
O39 0.604 0.163 0.808
O40 0.426 0.540 0.031
O41 0.680 0.876 0.865
O42 0.678 0.484 0.365
O43 0.248 0.149 0.920
O44 0.491 0.172 0.595
O45 0.919 0.307 0.243
O46 0.247 0.644 0.570
O47 0.353 0.536 0.247
O48 0.229 0.148 0.530
O49 0.850 0.162 0.028
O50 0.081 0.982 0.195
O51 0.516 0.827 0.410
O52 0.073 0.455 0.970
O53 0.596 0.012 0.597
O54 0.075 0.454 0.255
O55 0.926 0.312 0.531
O56 0.594 0.034 0.307
O57 0.158 0.839 0.256
O58 0.583 0.203 0.409
O59 0.481 0.784 0.802
O60 0.758 0.145 0.638
O61 0.764 0.840 0.470
O62 0.733 0.168 0.526
O63 0.412 0.808 0.602
O64 0.589 0.977 0.193
O65 0.261 0.649 0.865
O66 0.657 0.477 0.755
O67 0.240 0.122 0.634
O68 0.572 0.504 0.569
O69 0.006 0.821 0.692
O70 0.099 0.015 0.586
O71 0.923 0.494 0.424
O72 0.581 0.180 0.695
O73 0.850 0.169 0.745
O74 0.395 0.810 0.199
O75 0.757 0.647 0.865
O76 0.266 0.689 0.970
O77 0.813 0.132 0.141
O78 0.741 0.357 0.135
O79 0.242 0.354 0.424
O80 0.090 0.204 0.693
O81 0.989 0.180 0.587
O82 0.585 0.955 0.917
O83 0.070 0.633 0.073
O84 0.313 0.492 0.640
O85 0.912 0.016 0.103
O86 0.064 0.483 0.865
O87 0.926 0.493 0.140
O88 0.820 0.513 0.922
O89 0.768 0.688 0.970
O90 0.270 0.850 0.470
O91 0.014 0.843 0.417
O92 0.350 0.152 0.032
O93 0.741 0.192 0.244
O94 0.322 0.128 0.421
O95 0.664 0.854 0.265
O96 0.490 0.799 0.088
O97 0.011 0.199 0.909
O98 0.167 0.478 0.765
O99 0.584 0.484 0.974
O100 0.567 0.645 0.366
O101 0.085 0.214 0.417
O102 0.576 0.698 0.754
O103 0.180 0.859 0.859
O104 0.941 0.364 0.635
O105 0.398 0.830 0.915
O106 0.441 0.518 0.135
O107 0.934 0.357 0.921
O108 0.568 0.644 0.074
O109 0.162 0.478 0.470
O110 0.683 0.858 0.570
O111 0.068 0.491 0.574
O112 0.436 0.514 0.421
O113 0.740 0.350 0.422
O114 0.772 0.688 0.257
O115 0.403 0.987 0.696
O116 0.413 0.040 0.800
O117 0.980 0.177 0.302
O118 0.913 0.787 0.301
O119 0.742 0.131 0.924
O120 0.979 0.800 0.806
O121 0.004 0.196 0.198
O122 0.257 0.372 0.139
O123 0.418 0.298 0.525
O124 0.414 0.795 0.304
O125 0.654 0.460 0.469
O126 0.990 0.810 0.096
O127 0.097 0.182 0.098
O128 0.185 0.513 0.070
O129 0.419 0.531 0.743
O130 0.350 0.165 0.739
O131 0.752 0.633 0.572
O132 0.412 0.309 0.241
O133 0.428 0.363 0.639
O134 0.848 0.545 0.530
O135 0.917 0.538 0.026
O136 0.408 0.015 0.090
O137 0.241 0.292 0.741
O138 0.323 0.130 0.136
O139 0.849 0.534 0.241
O140 0.911 0.517 0.739
O141 0.240 0.175 0.236
O142 0.507 0.193 0.193
O143 0.729 0.309 0.030
O144 0.662 0.847 0.970
Nb1 0.504 0.011 0.640
Nb2 0.666 0.662 0.021
Nb3 0.162 0.667 0.024
Nb4 0.165 0.669 0.522
Nb5 0.330 0.329 0.188
Nb6 0.334 0.347 0.688
Nb7 0.830 0.327 0.692
Nb8 0.664 0.669 0.526
Nb9 0.009 0.993 0.855
Nb10 0.006 0.001 0.140
Nb11 0.503 0.013 0.352
Nb12 0.833 0.321 0.186
Si1 0.640 0.283 0.751
Si2 0.171 0.953 0.914
Si3 0.018 0.664 0.416
Si4 0.141 0.998 0.251
Si5 0.473 0.331 0.582
Si6 0.694 0.055 0.582
Si7 0.332 0.622 0.583
Si8 0.194 0.342 0.081
Si9 0.000 0.712 0.748
Si10 0.146 0.290 0.750
Si11 0.647 0.008 0.249
Si12 0.832 0.040 0.083
Si13 0.974 0.616 0.082
Si14 0.499 0.292 0.248
Si15 0.520 0.374 0.916
Na1 0.000 0.992 0.496
Na2 0.833 0.337 0.838
Na3 0.841 0.345 0.337
Na4 0.497 0.004 0.995
Na5 0.333 0.320 0.843
Na6 0.331 0.326 0.334
Sc1 0.007 0.993 0.355
Sc2 0.505 0.005 0.150
Sc3 0.839 0.333 0.983
Sc4 0.667 0.671 0.306
Sc5 0.338 0.345 0.483
Sc6 0.167 0.673 0.807
Sc7 0.505 0.020 0.856
Sc8 0.833 0.333 0.479
Sc9 0.005 0.006 0.652
Sc10 0.328 0.325 0.976
Sc11 0.157 0.671 0.310
Sc12 0.658 0.644 0.809
# symmetry = No. 1
# E_form = -2.71 eV per atom

***

# Na4Sc3NbSi3S3O24 GGA-PBE optimized geometry
data_Na4Sc3NbSi3S3O24
_space_group_name_H-M_alt 'P 1'
_space_group_IT_number 1
_cell_length_a 9.053
_cell_length_b 9.057
_cell_length_c 22.856
_cell_angle_alpha 89.97
_cell_angle_beta 90.10
_cell_angle_gamma 119.90
loop_
_space_group_symop_operation_xyz
'x,y,z'
loop_
_atom_site_label
_atom_site_fract_x
_atom_site_fract_y
_atom_site_fract_z
O1 0.875 0.533 0.137
O2 0.533 0.887 0.364
O3 0.310 0.475 0.755
O4 0.775 0.976 0.695
O5 0.353 0.467 0.364
O6 0.677 0.150 0.030
O7 0.157 0.461 0.975
O8 0.357 0.486 0.080
O9 0.175 0.957 0.187
O10 0.468 0.321 0.749
O11 0.501 0.125 0.640
O12 0.502 0.648 0.573
O13 0.009 0.184 0.907
O14 0.205 0.045 0.301
O15 0.966 0.158 0.590
O16 0.695 0.529 0.525
O17 0.510 0.145 0.926
O18 0.498 0.634 0.860
O19 0.518 0.685 0.260
O20 0.175 0.990 0.909
O21 0.951 0.164 0.306
O22 0.835 0.788 0.307
O23 0.806 0.006 0.801
O24 0.305 0.853 0.982
O25 0.854 0.527 0.030
O26 0.816 0.825 0.907
O27 0.196 0.040 0.588
O28 0.132 0.645 0.081
O29 0.509 0.875 0.081
O30 0.358 0.857 0.574
O31 0.788 0.837 0.194
O32 0.855 0.365 0.925
O33 0.852 0.534 0.749
O34 0.837 0.319 0.241
O35 0.835 0.813 0.589
O36 0.014 0.817 0.416
O37 0.621 0.498 0.639
O38 0.858 0.504 0.420
O39 0.137 0.501 0.860
O40 0.049 0.213 0.194
O41 0.804 0.987 0.417
O42 0.834 0.307 0.527
O43 0.541 0.699 0.976
O44 0.363 0.857 0.864
O45 0.023 0.805 0.697
O46 0.497 0.354 0.420
O47 0.153 0.492 0.576
O48 0.137 0.673 0.468
O49 0.470 0.345 0.137
O50 0.542 0.867 0.470
O51 0.312 0.832 0.258
O52 0.524 0.837 0.755
O53 0.165 0.691 0.755
O54 0.647 0.143 0.421
O55 0.973 0.797 0.080
O56 0.475 0.170 0.526
O57 0.875 0.369 0.642
O58 0.823 0.029 0.082
O59 0.679 0.148 0.750
O60 0.682 0.519 0.241
O61 0.654 0.128 0.136
O62 0.168 0.481 0.260
O63 0.109 0.646 0.362
O64 0.477 0.323 0.031
O65 0.201 0.194 0.800
O66 0.209 0.172 0.081
O67 0.992 0.795 0.803
O68 0.201 0.224 0.695
O69 0.185 0.196 0.416
O70 0.483 0.164 0.240
O71 0.636 0.491 0.926
O72 0.326 0.458 0.470
S1 0.295 0.300 0.750
S2 0.957 0.625 0.082
S3 0.669 0.044 0.082
S4 0.377 0.334 0.082
S5 0.336 0.368 0.418
S6 0.632 0.968 0.418
S7 0.005 0.707 0.751
S8 0.032 0.664 0.417
S9 0.700 0.995 0.750
Sc1 0.669 0.336 0.682
Sc2 0.327 0.667 0.522
Sc3 0.002 0.994 0.642
Sc4 0.334 0.662 0.015
Sc5 0.333 0.668 0.313
Sc6 0.669 0.336 0.189
Sc7 0.001 0.000 0.857
Sc8 0.994 0.001 0.153
Sc9 0.001 0.000 0.347
Na1 0.664 0.965 0.587
Na2 0.999 0.641 0.253
Na3 0.666 0.333 0.826
Na4 0.643 0.002 0.252
Na5 0.291 0.958 0.084
Na6 0.314 0.668 0.662
Na7 0.667 0.333 0.330
Na8 0.358 0.356 0.252
Na9 0.001 0.987 0.502
Na10 0.334 0.652 0.173
Na11 0.986 0.001 0.990
Na12 0.306 0.341 0.587
Si1 0.375 0.041 0.585
Si2 0.709 0.710 0.251
Si3 0.668 0.626 0.585
Si4 0.627 0.673 0.919
Si5 0.001 0.291 0.250
Si6 0.290 0.999 0.247
Si7 0.961 0.336 0.586
Si8 0.328 0.955 0.922
Si9 0.046 0.373 0.918
Nb1 0.669 0.335 0.971
Nb2 0.670 0.335 0.486
Nb3 0.334 0.667 0.820
# symmetry = No. 1
# E_form = -2.80 eV per atom